1.
Here is crystalline CaSO6 at its relaxed geometry from the Materials Project database. Energies are from PBE-GGA.

Results
DFT formation energy ... -1.688 eV/atom
V ... 17.7 Å³/atom
M_tot ... 8.05 μB per cell
Crystal system ... monoclinic
Calculated total energy ... -6.05 eV/atom
E above lowest polymorph ... 14 meV per atom

Cell lengths 5.699, 17.523, 6.724 Å; angles 90.00, 122.52, 90.00 degrees
Space group P2_1/c (No. 14)
Unique sites:
Ca 0.249 0.190 0.005
S 0.252 0.674 0.995
O 0.001 0.724 0.919
O 0.056 0.023 0.082
O 0.181 0.629 0.785
O 0.323 0.628 0.205
O 0.444 0.023 0.919
O 0.499 0.224 0.428

=====

2.
Here is crystalline CaSO6 at its relaxed geometry from the Materials Project database. Energies are from PBE-GGA.

Results
DFT formation energy ... -1.203 eV/atom
V ... 20.0 Å³/atom
M_tot ... 8.00 μB per cell
Crystal system ... monoclinic
Calculated total energy ... -5.56 eV/atom
E above lowest polymorph ... 499 meV per atom

Cell lengths 8.951, 13.689, 6.329 Å; angles 90.00, 124.34, 90.00 degrees
Space group C2/m (No. 12)
Unique sites:
Ca 0.000 0.239 0.000
S 0.000 0.249 0.500
O 0.000 0.045 0.000
O 0.000 0.455 0.000
O 0.098 0.187 0.422
O 0.213 0.292 0.911

=====

3.
Here is crystalline Ca2S2O9 at its relaxed geometry from the Materials Project database. Energies are from PBE-GGA.

Results
DFT formation energy ... -2.292 eV/atom
V ... 14.1 Å³/atom
M_tot ... 6.01 μB per cell
Crystal system ... trigonal
Calculated total energy ... -6.19 eV/atom
E above lowest polymorph ... 2 meV per atom

Cell lengths 7.0551, 7.0551, 12.7715 Å; angles 90.00, 90.00, 120.00 degrees
Space group P3_121 (No. 152)
Unique sites:
Ca 0.0000 0.4661 0.1667
Ca 0.0000 0.4791 0.6667
S 0.0074 0.4655 0.4167
O 0.0000 0.1127 0.1667
O 0.1242 0.6468 0.8443
O 0.1382 0.4126 0.9837
O 0.1390 0.6512 0.3441
O 0.1469 0.4159 0.4852

=====

4.
Here is crystalline Ca2S2O9 at its relaxed geometry from the Materials Project database. Energies are from PBE-GGA.

Results
DFT formation energy ... -2.294 eV/atom
V ... 14.1 Å³/atom
M_tot ... 12.00 μB per cell
Crystal system ... monoclinic
Calculated total energy ... -6.19 eV/atom
E above lowest polymorph ... 0 meV per atom

Cell lengths 17.651, 7.054, 12.201 Å; angles 90.00, 133.65, 90.00 degrees
Space group C2 (No. 5)
Unique sites:
Ca 0.000 0.000 0.000
Ca 0.000 0.482 0.500
Ca 0.165 0.798 0.434
Ca 0.166 0.268 0.925
S 0.081 0.300 0.310
S 0.086 0.783 0.814
S 0.250 0.479 0.751
O 0.000 0.650 0.000
O 0.011 0.249 0.147
O 0.011 0.317 0.339
O 0.012 0.846 0.827
O 0.020 0.737 0.650
O 0.135 0.976 0.576
O 0.140 0.476 0.346
O 0.148 0.616 0.912
O 0.161 0.149 0.410
O 0.163 0.937 0.865
O 0.176 0.596 0.611
O 0.179 0.864 0.250
O 0.181 0.104 0.113
O 0.184 0.354 0.754

=====

5.
Here is crystalline Ca2S2O9 at its relaxed geometry from the Materials Project database. Energies are from PBE-GGA.

Results
DFT formation energy ... -2.294 eV/atom
V ... 14.0 Å³/atom
M_tot ... 6.00 μB per cell
Crystal system ... trigonal
Calculated total energy ... -6.19 eV/atom
E above lowest polymorph ... 0 meV per atom

Cell lengths 7.0394, 7.0394, 12.7548 Å; angles 90.00, 90.00, 120.00 degrees
Space group P3_2 (No. 145)
Unique sites:
Ca 0.1325 0.3394 0.0000
Ca 0.1423 0.3339 0.5008
S 0.1253 0.3261 0.7508
S 0.1345 0.3366 0.2502
O 0.0060 0.7940 0.6536
O 0.0094 0.8083 0.1551
O 0.0758 0.4671 0.8206
O 0.0777 0.4671 0.3222
O 0.1580 0.6938 0.0101
O 0.1637 0.6858 0.5098
O 0.2414 0.0553 0.5177
O 0.2465 0.0669 0.0186
O 0.5532 0.2524 0.2916

=====

6.
Here is crystalline CaS3O10 at its relaxed geometry from the Materials Project database. Energies are from PBE-GGA.

Results
DFT formation energy ... -2.087 eV/atom
V ... 14.5 Å³/atom
Crystal system ... monoclinic
Calculated total energy ... -6.16 eV/atom

Cell lengths 8.618, 9.210, 13.225 Å; angles 90.00, 129.17, 90.00 degrees
Space group P2_1/c (No. 14)
Unique sites:
Ca 0.226 0.226 0.023
S 0.056 0.077 0.212
S 0.295 0.614 0.139
S 0.351 0.667 0.501
O 0.002 0.574 0.672
O 0.093 0.659 0.078
O 0.123 0.156 0.152
O 0.161 0.106 0.349
O 0.173 0.656 0.349
O 0.320 0.565 0.570
O 0.324 0.040 0.633
O 0.332 0.672 0.030
O 0.451 0.686 0.260
O 0.470 0.162 0.985

=====

7.
Here is crystalline CaSb10S6O10 at its relaxed geometry from the Materials Project database. Energies are from PBE-GGA.

Results
DFT formation energy ... -1.450 eV/atom
V ... 21.1 Å³/atom
M_tot ... 0.01 μB per cell
Crystal system ... monoclinic
Calculated total energy ... -5.44 eV/atom

Cell lengths 25.911, 5.765, 17.249 Å; angles 90.00, 117.73, 90.00 degrees
Space group C2/c (No. 15)
Unique sites:
Ca 0.000 0.050 0.250
Sb 0.048 0.495 0.911
Sb 0.060 0.058 0.085
Sb 0.098 0.389 0.752
Sb 0.165 0.116 0.452
Sb 0.227 0.407 0.134
S 0.172 0.071 0.312
S 0.176 0.258 0.644
S 0.206 0.480 0.975
O 0.024 0.173 0.482
O 0.031 0.380 0.179
O 0.044 0.145 0.665
O 0.062 0.279 0.827
O 0.083 0.246 0.372

=====

8.
Here is crystalline Ca5Si2SO12 at its relaxed geometry from the Materials Project database. Energies are from PBE-GGA.

Results
DFT formation energy ... -3.230 eV/atom
V ... 13.8 Å³/atom
M_tot ... 0.00 μB per cell
Crystal system ... orthorhombic
Calculated total energy ... -7.04 eV/atom

Cell lengths 6.933, 15.527, 10.276 Å; angles 90.00, 90.00, 90.00 degrees
Space group Pnma (No. 62)
Unique sites:
Ca 0.051 0.250 0.194
Ca 0.138 0.586 0.566
Ca 0.141 0.596 0.158
Si 0.153 0.575 0.866
S 0.015 0.250 0.589
O 0.032 0.109 0.046
O 0.043 0.750 0.551
O 0.068 0.671 0.351
O 0.114 0.009 0.769
O 0.181 0.051 0.476
O 0.210 0.654 0.767
O 0.227 0.250 0.607